Record 1
DFT (PBE) results for a relaxed Fe crystal.

a = 8.618 Å, b = 8.618 Å, c = 4.574 Å
α = 90.00°, β = 90.00°, γ = 90.00°
Element x y z (fractional)
Fe (0.905, 0.095, 0.500)
Fe (0.095, 0.905, 0.500)
Fe (0.405, 0.405, 0.000)
Fe (0.595, 0.595, 0.000)
Fe (0.981, 0.367, 0.500)
Fe (0.019, 0.633, 0.500)
Fe (0.481, 0.133, 0.000)
Fe (0.519, 0.867, 0.000)
Fe (0.367, 0.981, 0.500)
Fe (0.633, 0.019, 0.500)
Fe (0.133, 0.481, 0.000)
Fe (0.867, 0.519, 0.000)
Fe (0.271, 0.469, 0.500)
Fe (0.729, 0.531, 0.500)
Fe (0.771, 0.031, 0.000)
Fe (0.229, 0.969, 0.000)
Fe (0.469, 0.271, 0.500)
Fe (0.531, 0.729, 0.500)
Fe (0.031, 0.771, 0.000)
Fe (0.969, 0.229, 0.000)
Fe (0.715, 0.285, 0.246)
Fe (0.285, 0.715, 0.246)
Fe (0.215, 0.215, 0.746)
Fe (0.785, 0.785, 0.746)
Fe (0.285, 0.715, 0.754)
Fe (0.715, 0.285, 0.754)
Fe (0.785, 0.785, 0.254)
Fe (0.215, 0.215, 0.254)

Calculated formation energy = 0.1753 eV/atom
Energy above the lowest structure with this stoichiometry = 175.3 meV/atom



Record 2
DFT (PBE) results for a relaxed Fe crystal.

a = 2.578 Å, b = 2.578 Å, c = 2.578 Å
α = 60.00°, β = 60.00°, γ = 60.00°
Element x y z (fractional)
Fe (0.000, 0.000, 0.000)

Calculated formation energy = 0.1484 eV/atom
Energy above the lowest structure with this stoichiometry = 148.4 meV/atom



Record 3
DFT (PBE) results for a relaxed Fe crystal.

a = 2.459 Å, b = 2.459 Å, c = 2.460 Å
α = 109.47°, β = 109.47°, γ = 109.46°
Element x y z (fractional)
Fe (0.000, 0.000, 0.000)

Calculated formation energy = 0.0000 eV/atom
Energy above the lowest structure with this stoichiometry = 0.0 meV/atom



Record 4
DFT (PBE) results for a relaxed Fe crystal.

a = 2.490 Å, b = 2.490 Å, c = 2.394 Å
α = 90.00°, β = 90.00°, γ = 120.00°
Element x y z (fractional)
Fe (0.000, 0.000, 0.000)

Calculated formation energy = 0.4767 eV/atom
Energy above the lowest structure with this stoichiometry = 476.7 meV/atom